# 1
DFT (GGA-PBE) results for a geometry-optimized MgIn3 structure.

Unit cell a=4.610 b=4.610 c=9.643 alpha=90.00 beta=90.00 gamma=90.00
Space group I4/mmm (No. 139)
Inequivalent atoms, fractional coordinates:
Mg1 0.000 0.000 0.000 [2 per cell]
In1 0.000 0.000 0.500 [2 per cell]
In2 0.000 0.500 0.250 [4 per cell]

Raw total energy ... -19.899 eV for the cell shown

=====

# 2
DFT (GGA-PBE) results for a geometry-optimized Mg149In structure.

Unit cell a=15.9653 b=15.9653 c=15.6086 alpha=90.00 beta=90.00 gamma=120.00
Space group P-6m2 (No. 187)
Inequivalent atoms, fractional coordinates:
Mg1 0.0000 0.0000 0.0000 [1 per cell]
Mg2 0.0000 0.0000 0.3333 [2 per cell]
Mg3 0.9999 0.2000 0.0000 [6 per cell]
Mg4 0.9999 0.1999 0.3335 [12 per cell]
Mg5 0.0000 0.3999 0.0000 [6 per cell]
Mg6 0.0003 0.4001 0.3335 [12 per cell]
Mg7 0.1333 0.0666 0.1668 [6 per cell]
Mg8 0.1334 0.0667 0.5000 [3 per cell]
Mg9 0.1333 0.2666 0.1667 [6 per cell]
Mg10 0.1334 0.2667 0.5000 [3 per cell]
Mg11 0.1332 0.4658 0.5000 [6 per cell]
Mg12 0.1335 0.4668 0.1664 [12 per cell]
Mg13 0.1997 0.3994 0.3328 [6 per cell]
Mg14 0.2000 0.4001 0.0000 [3 per cell]
Mg15 0.2001 0.6001 0.0000 [3 per cell]
Mg16 0.1998 0.5999 0.3327 [6 per cell]
Mg17 0.3333 0.0665 0.1668 [12 per cell]
Mg18 0.3334 0.0669 0.5000 [6 per cell]
Mg19 0.3333 0.6667 0.1666 [2 per cell]
Mg20 0.3999 0.1999 0.0000 [3 per cell]
Mg21 0.4001 0.2000 0.3334 [6 per cell]
Mg22 0.5330 0.0661 0.5000 [3 per cell]
Mg23 0.5333 0.0665 0.1668 [6 per cell]
Mg24 0.5334 0.2667 0.1667 [6 per cell]
Mg25 0.5333 0.2666 0.5000 [3 per cell]
Mg26 0.5999 0.1998 0.0000 [3 per cell]
Mg27 0.5999 0.1999 0.3333 [6 per cell]
In1 0.3333 0.6667 0.5000 [1 per cell]

Raw total energy ... -245.694 eV for the cell shown

=====

# 3
DFT (GGA-PBE) results for a geometry-optimized MgIn2 structure.

Unit cell a=8.674 b=8.674 c=8.674 alpha=90.00 beta=90.00 gamma=90.00
Space group Fd-3m (No. 227, origin choice 2)
Inequivalent atoms, fractional coordinates:
Mg1 0.125 0.125 0.125 [8 per cell]
In1 0.000 0.000 0.500 [16 per cell]

Raw total energy ... -53.852 eV for the cell shown

=====

# 4
DFT (GGA-PBE) results for a geometry-optimized Mg2In structure.

Unit cell a=3.514 b=15.819 c=5.017 alpha=90.00 beta=90.00 gamma=90.00
Space group Cmcm (No. 63)
Inequivalent atoms, fractional coordinates:
Mg1 0.000 0.059 0.250 [4 per cell]
Mg2 0.000 0.274 0.750 [4 per cell]
In1 0.000 0.390 0.250 [4 per cell]

Raw total energy ... -24.046 eV for the cell shown

=====

# 5
DFT (GGA-PBE) results for a geometry-optimized MgIn3 structure.

Unit cell a=3.379 b=10.792 c=5.682 alpha=90.00 beta=90.00 gamma=90.00
Space group Imm2 (No. 44)
Inequivalent atoms, fractional coordinates:
Mg1 0.000 0.000 0.000 [2 per cell]
In1 0.000 0.254 0.668 [4 per cell]
In2 0.000 0.500 0.005 [2 per cell]

Raw total energy ... -19.868 eV for the cell shown

=====

# 6
DFT (GGA-PBE) results for a geometry-optimized MgIn3 structure.

Unit cell a=4.668 b=4.668 c=4.668 alpha=90.00 beta=90.00 gamma=90.00
Space group Pm-3m (No. 221)
Inequivalent atoms, fractional coordinates:
Mg1 0.000 0.000 0.000 [1 per cell]
In1 0.000 0.500 0.500 [3 per cell]

Raw total energy ... -9.909 eV for the cell shown

=====

# 7
DFT (GGA-PBE) results for a geometry-optimized MgIn2 structure.

Unit cell a=5.7598 b=5.7598 c=5.2752 alpha=90.00 beta=90.00 gamma=120.00
Space group P-62m (No. 189)
Inequivalent atoms, fractional coordinates:
Mg1 0.3333 0.6667 0.0000 [2 per cell]
In1 0.0000 0.0000 0.0000 [1 per cell]
In2 0.0000 0.6595 0.5000 [3 per cell]

Raw total energy ... -14.399 eV for the cell shown

=====

# 8
DFT (GGA-PBE) results for a geometry-optimized MgIn2 structure.

Unit cell a=5.7241 b=5.7241 c=15.9472 alpha=90.00 beta=90.00 gamma=120.00
Space group R32 (No. 155, hexagonal axes)
Inequivalent atoms, fractional coordinates:
Mg1 0.0000 0.0000 0.1679 [6 per cell]
In1 0.0000 0.0000 0.5000 [3 per cell]
In2 0.0000 0.6680 0.0000 [9 per cell]

Raw total energy ... -43.011 eV for the cell shown

=====

# 9
DFT (GGA-PBE) results for a geometry-optimized MgIn2 structure.

Unit cell a=11.690 b=3.436 c=8.110 alpha=90.00 beta=111.32 gamma=90.00
Space group C2/m (No. 12)
Inequivalent atoms, fractional coordinates:
Mg1 0.027 0.000 0.301 [4 per cell]
In1 0.141 0.500 0.033 [4 per cell]
In2 0.187 0.500 0.633 [4 per cell]

Raw total energy ... -28.702 eV for the cell shown

=====

# 10
DFT (GGA-PBE) results for a geometry-optimized MgIn5 structure.

Unit cell a=5.510 b=3.296 c=17.871 alpha=90.00 beta=90.00 gamma=90.00
Space group Amm2 (No. 38)
Inequivalent atoms, fractional coordinates:
Mg1 0.000 0.000 0.000 [2 per cell]
In1 0.000 0.000 0.336 [2 per cell]
In2 0.000 0.000 0.663 [2 per cell]
In3 0.500 0.000 0.222 [2 per cell]
In4 0.500 0.000 0.553 [2 per cell]
In5 0.500 0.000 0.890 [2 per cell]

Raw total energy ... -30.280 eV for the cell shown

=====

# 11
DFT (GGA-PBE) results for a geometry-optimized MgIn5 structure.

Unit cell a=11.766 b=3.525 c=8.119 alpha=90.00 beta=109.33 gamma=90.00
Space group Cm (No. 8)
Inequivalent atoms, fractional coordinates:
Mg1 0.000 0.000 0.000 [2 per cell]
In1 0.108 0.500 0.731 [2 per cell]
In2 0.164 0.500 0.322 [2 per cell]
In3 0.284 0.000 0.054 [2 per cell]
In4 0.326 0.000 0.666 [2 per cell]
In5 0.447 0.500 0.393 [2 per cell]

Raw total energy ... -30.368 eV for the cell shown

=====

# 12
DFT (GGA-PBE) results for a geometry-optimized MgIn2 structure.

Unit cell a=5.370 b=3.546 c=16.250 alpha=90.00 beta=90.00 gamma=90.00
Space group Amm2 (No. 38)
Inequivalent atoms, fractional coordinates:
Mg1 0.000 0.000 0.000 [2 per cell]
Mg2 0.000 0.000 0.329 [2 per cell]
In1 0.000 0.000 0.665 [2 per cell]
In2 0.500 0.000 0.218 [2 per cell]
In3 0.500 0.000 0.553 [2 per cell]
In4 0.500 0.000 0.887 [2 per cell]

Raw total energy ... -28.361 eV for the cell shown

=====

# 13
DFT (GGA-PBE) results for a geometry-optimized MgIn2 structure.

Unit cell a=11.606 b=3.433 c=8.172 alpha=90.00 beta=111.34 gamma=90.00
Space group C2/m (No. 12)
Inequivalent atoms, fractional coordinates:
Mg1 0.194 0.000 0.139 [4 per cell]
In1 0.028 0.500 0.813 [4 per cell]
In2 0.141 0.000 0.533 [4 per cell]

Raw total energy ... -28.684 eV for the cell shown

=====

# 14
DFT (GGA-PBE) results for a geometry-optimized Mg2In structure.

Unit cell a=8.4101 b=8.4101 c=3.4316 alpha=90.00 beta=90.00 gamma=120.00
Space group P-62m (No. 189)
Inequivalent atoms, fractional coordinates:
Mg1 0.0000 0.3710 0.0000 [3 per cell]
Mg2 0.0000 0.7091 0.5000 [3 per cell]
In1 0.0000 0.0000 0.0000 [1 per cell]
In2 0.3333 0.6667 0.5000 [2 per cell]

Raw total energy ... -18.517 eV for the cell shown

=====

# 15
DFT (GGA-PBE) results for a geometry-optimized MgIn5 structure.

Unit cell a=3.3611 b=3.3611 c=16.4106 alpha=90.00 beta=90.00 gamma=120.00
Space group P-6m2 (No. 187)
Inequivalent atoms, fractional coordinates:
Mg1 0.0000 0.0000 0.0000 [1 per cell]
In1 0.0000 0.0000 0.3272 [2 per cell]
In2 0.3333 0.6667 0.1567 [2 per cell]
In3 0.3333 0.6667 0.5000 [1 per cell]

Raw total energy ... -15.361 eV for the cell shown

=====

# 16
DFT (GGA-PBE) results for a geometry-optimized MgIn2 structure.

Unit cell a=3.358 b=3.358 c=13.262 alpha=90.00 beta=90.00 gamma=90.00
Space group I4/mmm (No. 139)
Inequivalent atoms, fractional coordinates:
Mg1 0.000 0.000 0.000 [2 per cell]
In1 0.000 0.000 0.339 [4 per cell]

Raw total energy ... -14.472 eV for the cell shown

=====

# 17
DFT (GGA-PBE) results for a geometry-optimized MgIn2 structure.

Unit cell a=3.3281 b=3.3281 c=16.0010 alpha=90.00 beta=90.00 gamma=120.00
Space group P-6m2 (No. 187)
Inequivalent atoms, fractional coordinates:
Mg1 0.0000 0.0000 0.1603 [2 per cell]
In1 0.0000 0.0000 0.5000 [1 per cell]
In2 0.3333 0.6667 0.0000 [1 per cell]
In3 0.3333 0.6667 0.3190 [2 per cell]

Raw total energy ... -14.398 eV for the cell shown

=====

# 18
DFT (GGA-PBE) results for a geometry-optimized Mg2Mn3InS8 structure.

Unit cell a=12.672 b=7.399 c=7.474 alpha=90.00 beta=125.22 gamma=90.00
Space group C2/m (No. 12)
Inequivalent atoms, fractional coordinates:
Mg1 0.126 0.000 0.378 [4 per cell]
Mn1 0.000 0.500 0.000 [2 per cell]
Mn2 0.250 0.250 0.000 [4 per cell]
In1 0.000 0.500 0.500 [2 per cell]
S1 0.015 0.268 0.777 [8 per cell]
S2 0.239 0.500 0.219 [4 per cell]
S3 0.249 0.000 0.215 [4 per cell]

Raw total energy ... -153.928 eV for the cell shown

=====

# 19
DFT (GGA-PBE) results for a geometry-optimized MgMnInS4 structure.

Unit cell a=7.474 b=7.480 c=7.482 alpha=89.25 beta=60.06 gamma=60.10
Space group P-1 (No. 2)
Inequivalent atoms, fractional coordinates:
Mg1 0.250 0.122 0.377 [2 per cell]
Mn1 0.000 0.500 0.000 [1 per cell]
Mn2 0.500 0.500 0.000 [1 per cell]
In1 0.000 0.000 0.000 [1 per cell]
In2 0.500 0.500 0.500 [1 per cell]
S1 0.009 0.731 0.769 [2 per cell]
S2 0.027 0.724 0.221 [2 per cell]
S3 0.472 0.279 0.777 [2 per cell]
S4 0.491 0.731 0.769 [2 per cell]

Raw total energy ... -70.687 eV for the cell shown

=====

no.,ΔH_f (0 K) (kJ/mol of formula units)
1,-9
2,-434
3,36
4,-6
5,-8
6,-5
7,-9
8,-6
9,-7
10,21
11,17
12,1
13,-7
14,-21
15,0
16,-13
17,-9
18,-1395
19,-704